An optimized crystal structure of Ti3Co2SbP6O24, computed with GGA+U.

Unit cell a=8.6528 b=8.6528 c=8.6528 alpha=61.00 beta=61.00 gamma=61.00
With the nearest neighbours (Å) after each atom.
Fractional positions:
1 O 0.6588 0.5287 0.8889  1 P 1.53
2 O 0.6230 0.9988 0.8087  1 P 1.56
3 O 0.5838 0.7601 0.4105  1 P 1.56
4 O 0.4105 0.5838 0.7601  1 P 1.56
5 O 0.5287 0.8889 0.6588  1 P 1.53
6 O 0.8927 0.2751 0.0429  1 P 1.54
7 O 0.4946 0.1223 0.3047  1 P 1.56
8 O 0.2751 0.0429 0.8927  1 P 1.54
9 O 0.0866 0.7479 0.9410  1 P 1.56
10 O 0.3047 0.4946 0.1223  1 P 1.56
11 O 0.2367 0.5809 0.4482  1 P 1.56
12 O 0.1875 0.4128 0.9619  1 P 1.52
13 O 0.7479 0.9410 0.0866  1 P 1.56
14 O 0.5809 0.4482 0.2367  1 P 1.56
15 O 0.7601 0.4105 0.5838  1 P 1.56
16 O 0.1223 0.3047 0.4946  1 P 1.56
17 O 0.8889 0.6588 0.5287  1 P 1.53
18 O 0.8087 0.6230 0.9988  1 P 1.56
19 O 0.4482 0.2367 0.5809  1 P 1.56
20 O 0.9619 0.1875 0.4128  1 P 1.52
21 O 0.4128 0.9619 0.1875  1 P 1.52
22 O 0.0429 0.8927 0.2751  1 P 1.54
23 O 0.9410 0.0866 0.7479  1 P 1.56
24 O 0.9988 0.8087 0.6230  1 P 1.56
25 P 0.9492 0.2482 0.5572  4 O 1.52-1.56
26 P 0.5572 0.9492 0.2482  4 O 1.52-1.56
27 P 0.4660 0.0425 0.7379  4 O 1.53-1.56
28 P 0.2482 0.5572 0.9492  4 O 1.52-1.56
29 P 0.0425 0.7379 0.4660  4 O 1.53-1.56
30 P 0.7379 0.4660 0.0425  4 O 1.53-1.56
31 Sb 0.1454 0.1454 0.1454  6 O 2.17-2.32
32 Co 0.5008 0.5008 0.5008  6 O 2.25-2.34
33 Co 0.9994 0.9994 0.9994  6 O 2.16-2.25
34 Ti 0.6441 0.6441 0.6441  6 O 1.89-1.98
35 Ti 0.8564 0.8564 0.8564  6 O 1.92-2.08
36 Ti 0.3557 0.3557 0.3557  6 O 1.93-2.07

Values from the calculation:
Energy   -7.4647 eV/atom
ΔE_f   -2.65 eV/atom